Below is crystalline KHo2F7 at its relaxed geometry, with properties calculated at the r²SCAN level.

Cell lengths 8.1366, 8.1366, 11.8615 Å; angles 59.71, 59.71, 58.45 degrees
Last column: nearest neighbours and their distance in Å.
Element x y z (fractional)
F  0.3678  0.8370  0.0834  2 Ho 2.19-2.28
F  0.9968  0.9968  0.7355  2 Ho 2.18
Ho  0.7596  0.2404  0.0000  8 F 2.19-2.40
F  0.8370  0.3678  0.0834  2 Ho 2.19-2.28
F  0.9956  0.3314  0.4992  2 Ho 2.18-2.21
F  0.3812  0.8545  0.7627  3 Ho 2.30-2.39, 3 F 2.53-2.57
F  0.6561  0.9973  0.7399  2 Ho 2.21-2.24
F  0.6130  0.6130  0.6188  3 Ho 2.30-2.31, 3 F 2.54-2.57
Ho  0.2649  0.7389  0.3183  8 F 2.18-2.39
K  0.7626  0.7626  0.9793  10 F 2.63-2.88
Ho  0.7389  0.2649  0.3183  8 F 2.18-2.39
K  0.2374  0.2374  0.0207  10 F 2.63-2.88
F  0.6053  0.6053  0.9130  3 Ho 2.29-2.40, 3 F 2.46-2.53
Ho  0.7406  0.7406  0.6788  8 F 2.18-2.36
F  0.6322  0.1630  0.9166  2 Ho 2.19-2.28
K  0.2666  0.2666  0.6521  5 F 2.63-2.71
Ho  0.2611  0.7351  0.6817  8 F 2.18-2.39
Ho  0.2594  0.2594  0.3212  8 F 2.18-2.36
F  0.1455  0.6188  0.2373  3 Ho 2.30-2.39, 3 F 2.53-2.57
F  0.3235  0.6765  0.5000  2 Ho 2.19
F  0.6188  0.1455  0.2373  3 Ho 2.30-2.39, 3 F 2.53-2.57
Ho  0.2404  0.7596  0.0000  8 F 2.19-2.40
F  0.1630  0.6322  0.9166  2 Ho 2.19-2.28
F  0.6765  0.3235  0.5000  2 Ho 2.19
F  0.9973  0.6561  0.7399  2 Ho 2.21-2.24
F  0.6049  0.6049  0.2490  2 Ho 2.23
K  0.7334  0.7334  0.3479  5 F 2.63-2.71
F  0.0032  0.0032  0.2645  2 Ho 2.18
F  0.3947  0.3947  0.0870  3 Ho 2.29-2.40, 3 F 2.46-2.53
F  0.0027  0.3439  0.2601  2 Ho 2.21-2.24
F  0.6686  0.0044  0.5008  2 Ho 2.18-2.21
F  0.8545  0.3812  0.7627  3 Ho 2.30-2.39, 3 F 2.53-2.57
Ho  0.7351  0.2611  0.6817  8 F 2.18-2.39
F  0.3314  0.9956  0.4992  2 Ho 2.18-2.21
F  0.3870  0.3870  0.3812  3 Ho 2.30-2.31, 3 F 2.54-2.57
F  0.3951  0.3951  0.7510  2 Ho 2.23
F  0.1056  0.1056  0.9254  2 Ho 2.27, 1 F 2.45
F  0.8944  0.8944  0.0746  2 Ho 2.27, 1 F 2.45
F  0.3439  0.0027  0.2601  2 Ho 2.21-2.24
F  0.0044  0.6686  0.5008  2 Ho 2.18-2.21

Values from the calculation:
As for the space group: C2/m.

***

Below is crystalline Na4Ga2S5 at its relaxed geometry, with properties calculated at the r²SCAN level.

Cell lengths 6.1045, 7.9483, 19.8045 Å; angles 88.81, 90.00, 90.00 degrees
Last column: nearest neighbours and their distance in Å.
Element x y z (fractional)
Na  0.4996  0.1111  0.2993  4 S 2.71-3.01
Na  0.5395  0.5973  0.1021  4 S 2.74-3.01
Na  0.4759  0.3463  0.7170  4 S 2.74-3.00
Na  0.7554  0.0777  0.4566  6 S 2.78-3.06
S  0.9307  0.1334  0.0976  2 Ga 2.27-2.35
S  0.0693  0.8666  0.9024  2 Ga 2.27-2.35
S  0.9856  0.3689  0.7073  1 Ga 2.21
S  0.0243  0.6109  0.0748  2 Ga 2.29-2.32
Ga  0.5679  0.1656  0.1343  4 S 2.21-2.35
Na  0.9996  0.8889  0.2007  4 S 2.71-3.01
S  0.5693  0.1334  0.5976  2 Ga 2.27-2.35
Na  0.4605  0.4027  0.8979  4 S 2.74-3.01
S  0.4376  0.2575  0.0294  2 Ga 2.26-2.33
Ga  0.9321  0.1656  0.6343  4 S 2.21-2.35
Na  0.9759  0.6537  0.7830  4 S 2.74-3.00
Na  0.9605  0.5973  0.6021  4 S 2.74-3.01
S  0.9376  0.7425  0.4706  2 Ga 2.26-2.33
S  0.4774  0.9076  0.1729  1 Ga 2.24
S  0.4757  0.6109  0.5748  2 Ga 2.29-2.32
Na  0.5241  0.6537  0.2830  4 S 2.74-3.00
Na  0.7446  0.0777  0.9566  6 S 2.78-3.06
Na  0.0395  0.4027  0.3979  4 S 2.74-3.01
Ga  0.0869  0.3453  0.0363  4 S 2.26-2.32
S  0.0144  0.6311  0.2927  1 Ga 2.21
S  0.4307  0.8666  0.4024  2 Ga 2.27-2.35
Na  0.0241  0.3463  0.2170  4 S 2.74-3.00
Na  0.2446  0.9223  0.5434  6 S 2.78-3.06
S  0.5144  0.3689  0.2073  1 Ga 2.21
Na  0.0004  0.1111  0.7993  4 S 2.71-3.01
S  0.5243  0.3891  0.4252  2 Ga 2.29-2.32
S  0.4856  0.6311  0.7927  1 Ga 2.21
S  0.0226  0.9076  0.6729  1 Ga 2.24
Ga  0.0679  0.8344  0.3657  4 S 2.21-2.35
Ga  0.4131  0.3453  0.5363  4 S 2.26-2.32
Na  0.2554  0.9223  0.0434  6 S 2.78-3.06
Na  0.5004  0.8889  0.7007  4 S 2.71-3.01
Ga  0.4321  0.8344  0.8657  4 S 2.21-2.35
S  0.9757  0.3891  0.9252  2 Ga 2.29-2.32
S  0.5624  0.7425  0.9706  2 Ga 2.26-2.33
S  0.9774  0.0924  0.3271  1 Ga 2.24
S  0.5226  0.0924  0.8271  1 Ga 2.24
Ga  0.9131  0.6547  0.9637  4 S 2.26-2.32
S  0.0624  0.2575  0.5294  2 Ga 2.26-2.33
Ga  0.5869  0.6547  0.4637  4 S 2.26-2.32

Values from the calculation:
As for the space group: P2_1/c.

***

Below is crystalline DyHoZn2 at its relaxed geometry, with properties calculated at the r²SCAN level.

Cell lengths 5.0047, 5.0047, 5.0047 Å; angles 60.00, 60.00, 60.00 degrees
Last column: nearest neighbours and their distance in Å.
Element x y z (fractional)
Zn  0.2500  0.2500  0.2500  4 Dy 3.06, 4 Ho 3.06
Zn  0.7500  0.7500  0.7500  4 Dy 3.06, 4 Ho 3.06
Ho  0.0000  0.0000  0.0000  8 Zn 3.06
Dy  0.5000  0.5000  0.5000  8 Zn 3.06

Values from the calculation:
As for the space group: Fm-3m.

***

Below is crystalline YTmHg2 at its relaxed geometry, with properties calculated at the r²SCAN level.

Cell lengths 5.1931, 5.1931, 5.1931 Å; angles 60.00, 60.00, 60.00 degrees
Last column: nearest neighbours and their distance in Å.
Element x y z (fractional)
Y  0.7500  0.7500  0.7500  8 Hg 3.18
Hg  0.5000  0.5000  0.5000  4 Y 3.18, 4 Tm 3.18
Tm  0.2500  0.2500  0.2500  8 Hg 3.18
Hg  0.0000  0.0000  0.0000  4 Y 3.18, 4 Tm 3.18

Values from the calculation:
As for the space group: Fm-3m.

***

Below is crystalline ErCdAu at its relaxed geometry, with properties calculated at the r²SCAN level.

Cell lengths 7.6389, 7.6389, 3.9328 Å; angles 90.00, 90.00, 120.00 degrees
Last column: nearest neighbours and their distance in Å.
Element x y z (fractional)
Cd  0.2600  0.0000  0.5000  4 Au 2.80-2.87
Cd  0.7400  0.7400  0.5000  4 Au 2.80-2.87
Au  0.0000  0.0000  0.0000  6 Cd 2.80, 3 Er 3.10
Er  0.5943  0.0000  0.0000  5 Au 3.04-3.10, 6 Cd 3.22-3.36
Au  0.3333  0.6667  0.5000  3 Cd 2.87, 6 Er 3.04
Au  0.6667  0.3333  0.5000  3 Cd 2.87, 6 Er 3.04
Cd  0.0000  0.2600  0.5000  4 Au 2.80-2.87
Er  0.4057  0.4057  0.0000  5 Au 3.04-3.10, 6 Cd 3.22-3.36
Er  0.0000  0.5943  0.0000  5 Au 3.04-3.10, 6 Cd 3.22-3.36

Values from the calculation:
As for the space group: P-62m.

***

Below is crystalline PrLu3S6 at its relaxed geometry, with properties calculated at the r²SCAN level.

Cell lengths 3.9209, 10.9163, 11.1631 Å; angles 70.95, 90.00, 90.00 degrees
Last column: nearest neighbours and their distance in Å.
Element x y z (fractional)
S  0.7500  0.2997  0.7486  3 Lu 2.59-2.67
Lu  0.2500  0.3383  0.5884  6 S 2.59-2.73
S  0.2500  0.3780  0.9640  2 Lu 2.86, 3 Pr 2.90-2.95
S  0.7500  0.6220  0.0360  2 Lu 2.86, 3 Pr 2.90-2.95
Lu  0.7500  0.6617  0.4116  6 S 2.59-2.73
Pr  0.2500  0.4489  0.1973  8 S 2.90-3.02
S  0.2500  0.7706  0.7697  3 Lu 2.71-2.81, 2 Pr 3.02
S  0.2500  0.0226  0.1117  4 Lu 2.62-2.85
S  0.7500  0.9774  0.8883  4 Lu 2.62-2.85
S  0.2500  0.5815  0.5903  3 Lu 2.66-2.73
Lu  0.2500  0.0556  0.3337  6 S 2.62-2.73
S  0.2500  0.1073  0.5568  4 Lu 2.66-2.73
Lu  0.7500  0.9444  0.6663  6 S 2.62-2.73
S  0.7500  0.4185  0.4097  3 Lu 2.66-2.73
S  0.2500  0.7003  0.2514  3 Lu 2.59-2.67
Pr  0.7500  0.5511  0.8027  8 S 2.90-3.02
Lu  0.2500  0.8212  0.0009  7 S 2.63-2.86
S  0.7500  0.2294  0.2303  3 Lu 2.71-2.81, 2 Pr 3.02
S  0.7500  0.8927  0.4432  4 Lu 2.66-2.73
Lu  0.7500  0.1788  0.9991  7 S 2.63-2.86

Values from the calculation:
As for the space group: P2_1/m.

***

Below is crystalline LiPm2Co at its relaxed geometry, with properties calculated at the r²SCAN level.

Cell lengths 4.9724, 4.9724, 4.9724 Å; angles 60.00, 60.00, 60.00 degrees
Last column: nearest neighbours and their distance in Å.
Element x y z (fractional)
Pm  0.2500  0.2500  0.2500  4 Co 3.04, 4 Li 3.04
Li  0.0000  0.0000  0.0000  8 Pm 3.04
Co  0.5000  0.5000  0.5000  8 Pm 3.04
Pm  0.7500  0.7500  0.7500  4 Co 3.04, 4 Li 3.04

Values from the calculation:
As for the space group: Fm-3m.

***

Below is crystalline MgTi2O5 at its relaxed geometry, with properties calculated at the r²SCAN level.

Cell lengths 3.7407, 5.2143, 10.0007 Å; angles 90.00, 90.00, 111.02 degrees
Last column: nearest neighbours and their distance in Å.
Element x y z (fractional)
O  0.3134  0.6267  0.9379  2 Ti 1.94
Ti  0.1333  0.2667  0.4333  5 O 1.82-2.01
Mg  0.8036  0.6072  0.2500  6 O 2.00-2.20
O  0.0469  0.0938  0.8868  2 Ti 1.82-1.99, 1 Mg 2.00
O  0.7832  0.5663  0.7500  2 Ti 2.01, 2 Mg 2.05
Ti  0.1333  0.2667  0.0667  5 O 1.82-2.01
Ti  0.8667  0.7333  0.5667  5 O 1.82-2.01
O  0.9531  0.9062  0.3868  2 Ti 1.82-1.99, 1 Mg 2.00
O  0.0469  0.0938  0.6132  2 Ti 1.82-1.99, 1 Mg 2.00
Ti  0.8667  0.7333  0.9333  5 O 1.82-2.01
O  0.6866  0.3733  0.4379  2 Ti 1.94
O  0.9531  0.9062  0.1132  2 Ti 1.82-1.99, 1 Mg 2.00
O  0.2168  0.4337  0.2500  2 Ti 2.01, 2 Mg 2.05
Mg  0.1964  0.3928  0.7500  6 O 2.00-2.20
O  0.6866  0.3733  0.0621  2 Ti 1.94
O  0.3134  0.6267  0.5621  2 Ti 1.94

Values from the calculation:
As for the space group: Cmcm.

***

Below is crystalline Mn2F7 at its relaxed geometry, with properties calculated at the r²SCAN level.

Cell lengths 8.3894, 6.0191, 5.1961 Å; angles 95.90, 76.28, 107.48 degrees
Last column: nearest neighbours and their distance in Å.
Element x y z (fractional)
F  0.6183  0.8935  0.5603  2 Mn 1.82-2.03
F  0.3817  0.1065  0.4397  2 Mn 1.82-2.03
Mn  0.6882  0.7925  0.2221  5 F 1.72-1.92
F  0.8601  0.3155  0.6130  1 Mn 1.72
F  0.2025  0.2511  0.1332  2 Mn 1.89-1.92
F  0.0896  0.0911  0.6718  3 Mn 1.97-2.14
F  0.7975  0.7489  0.8668  2 Mn 1.89-1.92
F  0.7455  0.0998  0.0915  2 Mn 1.92-1.93
Mn  0.3118  0.2075  0.7779  5 F 1.72-1.92
F  0.6726  0.5176  0.3074  1 Mn 1.72
F  0.1399  0.6845  0.3870  1 Mn 1.72
F  0.4906  0.7257  0.1445  1 Mn 1.72
F  0.2545  0.9002  0.9085  2 Mn 1.92-1.93
F  0.3274  0.4824  0.6926  1 Mn 1.72
F  0.5094  0.2743  0.8555  1 Mn 1.72
Mn  0.1735  0.9590  0.2814  2 F 1.72-1.92
F  0.9104  0.9089  0.3282  3 Mn 1.97-2.14
Mn  0.8265  0.0410  0.7186  2 F 1.72-1.92

Values from the calculation:
As for the space group: P-1. The distance to the lowest polymorph of the same formula is 0.0655 eV/atom.

***

Below is crystalline LuAgSn at its relaxed geometry, with properties calculated at the r²SCAN level.

Cell lengths 4.6452, 4.6452, 7.2999 Å; angles 90.00, 90.00, 120.00 degrees
Last column: nearest neighbours and their distance in Å.
Element x y z (fractional)
Sn  0.3333  0.6667  0.2820  4 Ag 2.78-2.90
Ag  0.6667  0.3333  0.1793  4 Sn 2.78-2.90, 3 Lu 2.98
Ag  0.3333  0.6667  0.6793  4 Sn 2.78-2.90, 3 Lu 2.98
Sn  0.6667  0.3333  0.7820  4 Ag 2.78-2.90
Lu  0.0000  0.0000  0.0026  3 Ag 2.98, 3 Sn 3.13
Lu  0.0000  0.0000  0.5026  3 Ag 2.98, 3 Sn 3.13

Values from the calculation:
As for the space group: P6_3mc.

***

Below is crystalline SmLuMg2 at its relaxed geometry, with properties calculated at the r²SCAN level.

Cell lengths 5.3545, 5.3545, 5.3545 Å; angles 60.00, 60.00, 60.00 degrees
Last column: nearest neighbours and their distance in Å.
Element x y z (fractional)
Mg  0.0000  0.0000  0.0000  4 Sm 3.28, 4 Lu 3.28
Mg  0.5000  0.5000  0.5000  4 Lu 3.28, 4 Sm 3.28
Lu  0.2500  0.2500  0.2500  8 Mg 3.28
Sm  0.7500  0.7500  0.7500  8 Mg 3.28

Values from the calculation:
As for the space group: Fm-3m.

***

Below is crystalline N at its relaxed geometry, with properties calculated at the r²SCAN level.

Cell lengths 4.0841, 4.0841, 5.3459 Å; angles 90.00, 90.00, 90.00 degrees
Last column: nearest neighbours and their distance in Å.
Element x y z (fractional)
N  0.5957  0.4043  0.5000  1 N 1.11
N  0.0957  0.0957  0.0000  1 N 1.11
N  0.4043  0.5957  0.5000  1 N 1.11
N  0.9043  0.9043  0.0000  1 N 1.11

Values from the calculation:
As for the space group: P4_2/mnm. The distance to the lowest polymorph of the same formula is 0.0024 eV/atom.

***

Number 1: final energy -13.596 eV per atom, volume 546.2 Å³/cell. Number 2: final energy -8.226 eV per atom, volume 960.7 Å³/cell. Number 3: final energy -21.055 eV per atom, volume 88.6 Å³/cell. Number 4: final energy -39.119 eV per atom, volume 99.0 Å³/cell. Number 5: final energy -35.596 eV per atom, volume 198.7 Å³/cell. Number 6: final energy -21.567 eV per atom, volume 451.6 Å³/cell. Number 7: final energy -18.585 eV per atom, volume 86.9 Å³/cell. Number 8: final energy -10.759 eV per atom, volume 182.1 Å³/cell. Number 9: final energy -8.276 eV per atom, volume 243.0 Å³/cell. Number 10: final energy -28.639 eV per atom, volume 136.4 Å³/cell. Number 11: final energy -19.126 eV per atom, volume 108.6 Å³/cell. Number 12: final energy -9.126 eV per atom, volume 89.2 Å³/cell.